# 1
{"formula": "CaNiF5", "functional": "PBE+U", "state": "relaxed", "lattice": [[3.171, 4.472, 0.000], [-3.171, 4.472, 0.000], [0.000, 3.353, 6.971]], "species": ["F", "Ni", "F", "F", "F", "F", "F", "F", "Ca", "F", "F", "Ca", "Ni", "F"], "fractional_positions": [[0.718, 0.298, 0.532], [0.000, 0.000, 0.500], [0.237, 0.208, 0.391], [0.915, 0.085, 0.250], [0.792, 0.763, 0.109], [0.085, 0.915, 0.750], [0.763, 0.792, 0.609], [0.208, 0.237, 0.891], [0.549, 0.451, 0.250], [0.702, 0.282, 0.968], [0.298, 0.718, 0.032], [0.451, 0.549, 0.750], [0.000, 0.000, 0.000], [0.282, 0.702, 0.468]], "ef_ev_per_fu": -20.17, "relative_energy_mev_per_atom": 12, "vol_a3_per_fu": 98.8, "spacegroup": "C2/c"}


# 2
{"formula": "Sr4MgMn3Cl2O8", "functional": "PBE+U", "state": "relaxed", "lattice": [[-3.733, 1.413, 0.341], [-1.323, -2.914, -2.409], [-0.152, -9.777, 15.246]], "species": ["Mn", "Mn", "O", "O", "Sr", "O", "O", "O", "O", "Sr", "Mn", "Cl", "O", "Sr", "O", "Sr", "Cl", "Mg"], "fractional_positions": [[0.009, 0.009, 0.018], [0.888, 0.888, 0.779], [0.009, 0.509, 0.017], [0.509, 0.009, 0.017], [0.563, 0.563, 0.125], [0.129, 0.629, 0.258], [0.064, 0.064, 0.127], [0.363, 0.863, 0.729], [0.629, 0.129, 0.258], [0.466, 0.466, 0.931], [0.119, 0.119, 0.238], [0.776, 0.777, 0.551], [0.863, 0.363, 0.729], [0.669, 0.669, 0.338], [0.947, 0.947, 0.893], [0.296, 0.296, 0.589], [0.213, 0.213, 0.426], [0.372, 0.372, 0.747]], "ef_ev_per_fu": -43.72, "relative_energy_mev_per_atom": 0, "vol_a3_per_fu": 287.0, "spacegroup": "Cm"}


# 3
{"formula": "CrHSe3O8", "functional": "PBE+U", "state": "relaxed", "lattice": [[-4.854, -4.501, -3.998], [6.703, -2.315, -5.534], [2.574, -8.823, 6.809]], "species": ["O", "O", "H", "Se", "Cr", "O", "Se", "O", "O", "O", "O", "Se", "O", "O", "O", "O", "O", "Cr", "O", "Se", "O", "O", "O", "O", "Se", "O", "Se", "Cr", "Se", "O", "Cr", "O", "O", "O", "O", "O", "Se", "O", "Se", "H", "H", "Se", "O", "O", "O", "O", "O", "O", "H", "Se", "Se", "O"], "fractional_positions": [[0.284, 0.620, 0.030], [0.869, 0.095, 0.134], [0.555, 0.133, 0.250], [0.294, 0.782, 0.107], [0.500, 0.500, 0.000], [0.369, 0.405, 0.634], [0.196, 0.013, 0.750], [0.082, 0.835, 0.105], [0.216, 0.120, 0.030], [0.418, 0.335, 0.395], [0.131, 0.905, 0.866], [0.804, 0.987, 0.250], [0.869, 0.095, 0.366], [0.784, 0.880, 0.970], [0.784, 0.880, 0.530], [0.369, 0.405, 0.866], [0.082, 0.835, 0.395], [0.500, 0.500, 0.500], [0.716, 0.380, 0.970], [0.706, 0.218, 0.607], [0.631, 0.595, 0.366], [0.576, 0.025, 0.250], [0.716, 0.380, 0.530], [0.286, 0.688, 0.250], [0.294, 0.782, 0.393], [0.582, 0.665, 0.605], [0.304, 0.513, 0.750], [0.000, 0.000, 0.500], [0.696, 0.487, 0.250], [0.131, 0.905, 0.634], [0.000, 0.000, 0.000], [0.418, 0.335, 0.105], [0.714, 0.312, 0.750], [0.582, 0.665, 0.895], [0.918, 0.165, 0.605], [0.216, 0.120, 0.470], [0.206, 0.282, 0.107], [0.918, 0.165, 0.895], [0.706, 0.218, 0.893], [0.055, 0.367, 0.750], [0.945, 0.633, 0.250], [0.794, 0.718, 0.607], [0.631, 0.595, 0.134], [0.284, 0.620, 0.470], [0.076, 0.475, 0.750], [0.924, 0.525, 0.250], [0.214, 0.188, 0.250], [0.786, 0.812, 0.750], [0.445, 0.867, 0.750], [0.794, 0.718, 0.893], [0.206, 0.282, 0.393], [0.424, 0.975, 0.750]], "ef_ev_per_fu": -18.83, "relative_energy_mev_per_atom": 6, "vol_a3_per_fu": 198.9, "spacegroup": "Pnma"}


# 4
{"formula": "LiCr2Mo3O12", "functional": "PBE+U", "state": "relaxed", "lattice": [[6.837, 0.000, 0.000], [1.477, 6.876, 0.000], [0.894, 2.409, 11.519]], "species": ["O", "O", "O", "Mo", "O", "Cr", "O", "O", "Cr", "O", "Li", "Cr", "O", "O", "O", "O", "O", "O", "Mo", "O", "Li", "O", "Mo", "O", "Mo", "Mo", "O", "O", "Mo", "Cr", "O", "O", "O", "O", "O", "O"], "fractional_positions": [[0.298, 0.850, 0.451], [0.337, 0.485, 0.605], [0.997, 0.811, 0.954], [0.254, 0.092, 0.352], [0.702, 0.150, 0.549], [0.698, 0.835, 0.978], [0.710, 0.946, 0.361], [0.056, 0.639, 0.332], [0.302, 0.165, 0.022], [0.007, 0.800, 0.641], [0.678, 0.437, 0.587], [0.305, 0.770, 0.628], [0.608, 0.142, 0.999], [0.606, 0.731, 0.614], [0.325, 0.681, 0.799], [0.944, 0.361, 0.668], [0.003, 0.189, 0.046], [0.708, 0.541, 0.960], [0.746, 0.908, 0.648], [0.290, 0.054, 0.639], [0.322, 0.563, 0.413], [0.247, 0.247, 0.836], [0.203, 0.287, 0.687], [0.663, 0.515, 0.395], [0.254, 0.699, 0.947], [0.746, 0.301, 0.053], [0.392, 0.858, 0.001], [0.320, 0.052, 0.212], [0.797, 0.713, 0.313], [0.695, 0.230, 0.372], [0.993, 0.200, 0.359], [0.753, 0.753, 0.164], [0.394, 0.269, 0.386], [0.292, 0.459, 0.040], [0.675, 0.319, 0.201], [0.680, 0.948, 0.788]], "ef_ev_per_fu": -37.76, "vol_a3_per_fu": 270.7, "spacegroup": "P-1"}


# 5
{"formula": "AlFe2O4", "functional": "PBE+U", "state": "relaxed", "lattice": [[5.821, -0.080, 2.755], [-0.173, -4.032, 5.020], [-1.800, -0.785, -6.134]], "species": ["O", "O", "O", "Al", "Al", "Fe", "O", "O", "O", "O", "Fe", "Fe", "O", "Fe"], "fractional_positions": [[0.969, 0.990, 0.391], [0.151, 0.672, 0.891], [0.781, 0.260, 0.109], [0.000, 0.000, 0.000], [0.750, 0.250, 0.500], [0.375, 0.625, 0.750], [0.599, 0.578, 0.609], [0.740, 0.849, 0.521], [0.010, 0.401, 0.979], [0.328, 0.219, 0.479], [0.875, 0.625, 0.250], [0.375, 0.625, 0.250], [0.422, 0.031, 0.021], [0.375, 0.125, 0.750]], "ef_ev_per_fu": -12.85, "relative_energy_mev_per_atom": 399, "vol_a3_per_fu": 74.0, "spacegroup": "I4_1/a"}


# 6
{"formula": "Co3BO5", "functional": "PBE+U", "state": "relaxed", "lattice": [[-2.414, 1.505, 0.928], [-5.521, -6.069, -4.522], [-0.505, -6.890, 9.865]], "species": ["Co", "Co", "O", "O", "O", "Co", "O", "O", "O", "Co", "O", "O", "Co", "Co", "O", "O", "O", "Co", "B", "Co", "O", "Co", "O", "B", "O", "O", "Co", "Co", "O", "B", "O", "O", "B", "O", "Co", "O"], "fractional_positions": [[0.500, 0.500, 0.500], [0.500, 0.000, 0.000], [0.500, 0.618, 0.641], [0.500, 0.161, 0.261], [0.000, 0.376, 0.580], [0.000, 0.004, 0.223], [0.000, 0.624, 0.420], [0.500, 0.382, 0.359], [0.000, 0.616, 0.857], [0.500, 0.258, 0.112], [0.500, 0.661, 0.239], [0.500, 0.118, 0.859], [0.000, 0.496, 0.723], [0.500, 0.742, 0.888], [0.000, 0.884, 0.357], [0.000, 0.124, 0.080], [0.000, 0.116, 0.643], [0.500, 0.758, 0.388], [0.500, 0.736, 0.139], [0.000, 0.996, 0.777], [0.500, 0.339, 0.761], [0.000, 0.504, 0.277], [0.000, 0.384, 0.143], [0.500, 0.764, 0.639], [0.000, 0.876, 0.920], [0.500, 0.158, 0.460], [0.000, 0.500, 0.000], [0.500, 0.242, 0.612], [0.500, 0.342, 0.960], [0.500, 0.264, 0.861], [0.500, 0.839, 0.739], [0.500, 0.882, 0.141], [0.500, 0.236, 0.361], [0.500, 0.658, 0.040], [0.000, 0.000, 0.500], [0.500, 0.842, 0.540]], "ef_ev_per_fu": -15.38, "vol_a3_per_fu": 84.4, "spacegroup": "Pbam"}


# 7
{"formula": "Na2MgV2Cd2O8", "functional": "PBE+U", "state": "relaxed", "lattice": [[-5.614, -1.488, -0.803], [3.948, -3.027, -3.103], [0.770, -5.100, 5.568]], "species": ["V", "O", "O", "Na", "O", "O", "O", "V", "Mg", "Cd", "O", "Cd", "O", "O", "Na"], "fractional_positions": [[0.355, 0.645, 0.711], [0.308, 0.692, 0.935], [0.775, 0.225, 0.445], [0.280, 0.720, 0.262], [0.225, 0.775, 0.555], [0.244, 0.313, 0.709], [0.313, 0.244, 0.291], [0.645, 0.355, 0.289], [0.500, 0.500, 0.000], [0.000, 0.000, 0.500], [0.687, 0.756, 0.709], [0.000, 0.000, 0.000], [0.692, 0.308, 0.065], [0.756, 0.687, 0.291], [0.720, 0.280, 0.738]], "ef_ev_per_fu": -28.86, "relative_energy_mev_per_atom": 165, "vol_a3_per_fu": 234.0, "spacegroup": "C2/m"}


# 8
{"formula": "LiCoP4O12", "functional": "PBE+U", "state": "relaxed", "lattice": [[10.335, 0.000, 0.000], [0.000, 9.110, 0.000], [0.000, 0.284, 9.332]], "species": ["O", "P", "P", "O", "O", "O", "O", "O", "O", "O", "P", "O", "O", "O", "O", "O", "O", "O", "O", "O", "Co", "P", "O", "P", "O", "O", "Li", "P", "O", "O", "O", "O", "O", "P", "O", "Li", "P", "O", "Co", "O", "O", "P", "O", "O", "O", "P", "O", "O", "O", "O", "O", "Co", "O", "Li", "O", "O", "O", "O", "O", "P", "P", "P", "O", "Li", "P", "Co", "O", "P", "O", "O", "O", "P"], "fractional_positions": [[0.867, 0.077, 0.621], [0.974, 0.244, 0.020], [0.388, 0.941, 0.539], [0.360, 0.743, 0.881], [0.085, 0.358, 0.059], [0.444, 0.744, 0.139], [0.776, 0.739, 0.149], [0.944, 0.256, 0.861], [0.631, 0.431, 0.119], [0.860, 0.257, 0.119], [0.888, 0.737, 0.051], [0.539, 0.578, 0.602], [0.549, 0.901, 0.939], [0.205, 0.584, 0.142], [0.049, 0.099, 0.061], [0.623, 0.736, 0.393], [0.585, 0.642, 0.941], [0.291, 0.571, 0.647], [0.500, 0.158, 0.881], [0.272, 0.921, 0.635], [0.294, 0.741, 0.265], [0.474, 0.756, 0.980], [0.123, 0.264, 0.607], [0.110, 0.938, 0.044], [0.997, 0.159, 0.395], [0.630, 0.091, 0.112], [0.315, 0.104, 0.246], [0.610, 0.062, 0.956], [0.877, 0.417, 0.610], [0.642, 0.256, 0.616], [0.039, 0.422, 0.398], [0.961, 0.579, 0.082], [0.880, 0.767, 0.895], [0.104, 0.534, 0.038], [0.417, 0.358, 0.555], [0.679, 0.601, 0.257], [0.604, 0.466, 0.962], [0.448, 0.100, 0.564], [0.206, 0.754, 0.765], [0.917, 0.642, 0.445], [0.497, 0.841, 0.605], [0.613, 0.732, 0.551], [0.227, 0.928, 0.142], [0.461, 0.421, 0.918], [0.380, 0.233, 0.105], [0.899, 0.466, 0.456], [0.130, 0.909, 0.888], [0.556, 0.252, 0.360], [0.791, 0.429, 0.353], [0.142, 0.744, 0.384], [0.367, 0.923, 0.379], [0.706, 0.246, 0.235], [0.723, 0.757, 0.648], [0.179, 0.399, 0.743], [0.727, 0.072, 0.858], [0.000, 0.842, 0.119], [0.276, 0.261, 0.851], [0.705, 0.416, 0.858], [0.223, 0.243, 0.352], [0.526, 0.242, 0.519], [0.388, 0.263, 0.949], [0.888, 0.059, 0.461], [0.056, 0.748, 0.640], [0.815, 0.896, 0.754], [0.113, 0.268, 0.449], [0.794, 0.259, 0.735], [0.772, 0.079, 0.365], [0.026, 0.758, 0.481], [0.131, 0.569, 0.881], [0.948, 0.900, 0.436], [0.377, 0.583, 0.390], [0.399, 0.534, 0.544]], "ef_ev_per_fu": -43.12, "relative_energy_mev_per_atom": 35, "vol_a3_per_fu": 219.7, "spacegroup": "P2_1"}